(1)
Entry from the Materials Project: crystalline UB4Ru4 at its relaxed geometry (r2SCAN).

abc: 9.1880 9.1880 9.1881
angles: 132.01 132.01 70.21
With the nearest neighbours (Å) after each atom.
Atoms (fractional coordinates):
B (0.5856, 0.2746, 0.0247)  1 B 1.78
B (0.7499, 0.7746, 0.6890)  1 B 1.78
Ru (0.9250, 0.1615, 0.4639)  5 B 2.13-2.27
Ru (0.9116, 0.9477, 0.7366)  5 B 2.13-2.27
U (0.7500, 0.7500, 0.0000)  12 Ru 2.90-3.23, 12 B 2.97-3.20
B (0.1644, 0.9754, 0.4753)  1 B 1.78
Ru (0.3250, 0.2889, 0.7366)  5 B 2.13-2.27
B (0.9391, 0.2501, 0.0247)  1 B 1.78
Ru (0.5389, 0.0750, 0.2365)  5 B 2.13-2.27
B (0.0001, 0.4754, 0.8110)  1 B 1.78
U (0.0000, 0.5000, 0.5000)  12 Ru 2.90-3.23, 12 B 2.97-3.20
B (0.2254, 0.9144, 0.9753)  1 B 1.78
B (0.7254, 0.7501, 0.3110)  1 B 1.78
Ru (0.3384, 0.5750, 0.5361)  5 B 2.13-2.27
Ru (0.4116, 0.6750, 0.9639)  5 B 2.13-2.27
Ru (0.0389, 0.8024, 0.4639)  5 B 2.13-2.27
B (0.0246, 0.5000, 0.1890)  1 B 1.78
Ru (0.0524, 0.7889, 0.9639)  5 B 2.13-2.27
U (0.5000, 0.0000, 0.5000)  12 Ru 2.90-3.23, 12 B 2.97-3.20
Ru (0.5524, 0.5884, 0.2634)  5 B 2.13-2.27
B (0.3109, 0.8356, 0.8110)  1 B 1.78
B (0.4391, 0.4144, 0.6890)  1 B 1.78
Ru (0.8384, 0.3023, 0.7634)  5 B 2.13-2.27
U (0.2500, 0.2500, 0.0000)  12 Ru 2.90-3.23, 12 B 2.97-3.20
Ru (0.2111, 0.1750, 0.2635)  5 B 2.13-2.27
Ru (0.1976, 0.6616, 0.2366)  5 B 2.13-2.27
Ru (0.8250, 0.0885, 0.0361)  5 B 2.13-2.27
B (0.8109, 0.9999, 0.4753)  1 B 1.78
B (0.2499, 0.5609, 0.9753)  1 B 1.78
B (0.5246, 0.3356, 0.5247)  1 B 1.78
Ru (0.4250, 0.9611, 0.7634)  5 B 2.13-2.27
B (0.5001, 0.6891, 0.5247)  1 B 1.78
Ru (0.7111, 0.4476, 0.0361)  5 B 2.13-2.27
B (0.0856, 0.0609, 0.3110)  1 B 1.78
B (0.6644, 0.1891, 0.1890)  1 B 1.78
Ru (0.6976, 0.4611, 0.5361)  5 B 2.13-2.27

Output
Space-group type   I4_1/acd (142)
E   -23.94 eV/atom
ΔE_f   -497 meV per atom
M_tot   1.84 μB per formula unit



(2)
Entry from the Materials Project: crystalline Y2B6Ru at its relaxed geometry (r2SCAN).

abc: 3.6625 9.1467 11.5139
angles: 90.00 90.00 90.00
With the nearest neighbours (Å) after each atom.
Atoms (fractional coordinates):
B (0.5000, 0.7472, 0.4197)  3 B 1.77-1.82
B (0.5000, 0.5160, 0.7128)  3 B 1.79-1.88
Ru (0.0000, 0.8623, 0.8212)  10 B 2.34-2.41
B (0.5000, 0.4840, 0.2872)  3 B 1.79-1.88
B (0.5000, 0.4460, 0.5674)  3 B 1.77-1.84
Y (0.0000, 0.1774, 0.9141)  14 B 2.72-2.81
Y (0.0000, 0.0562, 0.6272)  12 B 2.60-2.63, 2 Ru 2.85-2.86
Y (0.0000, 0.8226, 0.0859)  14 B 2.72-2.81
B (0.5000, 0.2472, 0.0803)  3 B 1.77-1.82
Y (0.0000, 0.6774, 0.5859)  14 B 2.72-2.81
B (0.5000, 0.2098, 0.7333)  3 B 1.72-1.88
B (0.5000, 0.2528, 0.5803)  3 B 1.77-1.82
B (0.5000, 0.8680, 0.6857)  3 B 1.72-1.79
B (0.5000, 0.7098, 0.7667)  3 B 1.72-1.88
B (0.5000, 0.6320, 0.1857)  3 B 1.72-1.79
B (0.5000, 0.0160, 0.7872)  3 B 1.79-1.88
Ru (0.0000, 0.3623, 0.6788)  10 B 2.34-2.41
B (0.5000, 0.1320, 0.3143)  3 B 1.72-1.79
Y (0.0000, 0.3226, 0.4141)  14 B 2.72-2.81
B (0.5000, 0.8888, 0.5307)  2 B 1.79-1.82
B (0.5000, 0.6112, 0.0307)  2 B 1.79-1.82
Y (0.0000, 0.9438, 0.3728)  12 B 2.60-2.63, 2 Ru 2.85-2.86
Ru (0.0000, 0.1377, 0.1788)  10 B 2.34-2.41
Y (0.0000, 0.5562, 0.8728)  12 B 2.60-2.63, 2 Ru 2.85-2.86
B (0.5000, 0.5540, 0.4326)  3 B 1.77-1.84
B (0.5000, 0.7528, 0.9197)  3 B 1.77-1.82
B (0.5000, 0.0540, 0.0674)  3 B 1.77-1.84
B (0.5000, 0.3680, 0.8143)  3 B 1.72-1.79
Ru (0.0000, 0.6377, 0.3212)  10 B 2.34-2.41
Y (0.0000, 0.4438, 0.1272)  12 B 2.60-2.63, 2 Ru 2.85-2.86
B (0.5000, 0.9460, 0.9326)  3 B 1.77-1.84
B (0.5000, 0.9840, 0.2128)  3 B 1.79-1.88
B (0.5000, 0.1112, 0.4693)  2 B 1.79-1.82
B (0.5000, 0.3888, 0.9693)  2 B 1.79-1.82
B (0.5000, 0.2902, 0.2333)  3 B 1.72-1.88
B (0.5000, 0.7902, 0.2667)  3 B 1.72-1.88

Output
Space-group type   Pbam (55)
E   -12.97 eV/atom
ΔE_f   -731 meV per atom
M_tot   0.00 μB per formula unit



(3)
Entry from the Materials Project: crystalline YB2Ru3 at its relaxed geometry (r2SCAN).

abc: 5.4789 5.4789 3.0235
angles: 90.00 90.00 120.00
With the nearest neighbours (Å) after each atom.
Atoms (fractional coordinates):
Ru (0.0000, 0.5000, 0.5000)  4 B 2.19
Ru (0.5000, 0.5000, 0.5000)  4 B 2.19
B (0.3333, 0.6667, 0.0000)  6 Ru 2.19
Y (0.0000, 0.0000, 0.0000)  2 Y 3.02, 12 Ru 3.13, 6 B 3.16
Ru (0.5000, 0.0000, 0.5000)  4 B 2.19
B (0.6667, 0.3333, 0.0000)  6 Ru 2.19

Output
Space-group type   P6/mmm (191)
E   -19.05 eV/atom
ΔE_f   -504 meV per atom
M_tot   0.00 μB per formula unit



(4)
Entry from the Materials Project: crystalline YB4Ru at its relaxed geometry (r2SCAN).

abc: 3.5553 5.9509 11.5105
angles: 90.00 90.00 90.00
With the nearest neighbours (Å) after each atom.
Atoms (fractional coordinates):
B (0.5000, 0.2888, 0.3149)  3 B 1.81-1.86
B (0.5000, 0.7888, 0.1851)  3 B 1.81-1.86
Ru (0.0000, 0.3597, 0.9076)  10 B 2.25-2.40
B (0.5000, 0.6117, 0.9534)  3 B 1.71-1.75
B (0.5000, 0.2112, 0.8149)  3 B 1.81-1.86
Y (0.0000, 0.3709, 0.6500)  14 B 2.64-2.77
B (0.5000, 0.8633, 0.0302)  3 B 1.74-1.84
Ru (0.0000, 0.1403, 0.4076)  10 B 2.25-2.40
Y (0.0000, 0.8709, 0.8500)  14 B 2.64-2.77
Ru (0.0000, 0.8597, 0.5924)  10 B 2.25-2.40
Y (0.0000, 0.1291, 0.1500)  14 B 2.64-2.77
B (0.5000, 0.5235, 0.8087)  3 B 1.75-1.86
B (0.5000, 0.9765, 0.3087)  3 B 1.75-1.86
B (0.5000, 0.3883, 0.0466)  3 B 1.71-1.75
B (0.5000, 0.0235, 0.6913)  3 B 1.75-1.86
Y (0.0000, 0.6291, 0.3500)  14 B 2.64-2.77
B (0.5000, 0.7112, 0.6851)  3 B 1.81-1.86
B (0.5000, 0.3633, 0.4698)  3 B 1.74-1.84
B (0.5000, 0.6367, 0.5302)  3 B 1.74-1.84
Ru (0.0000, 0.6403, 0.0924)  10 B 2.25-2.40
B (0.5000, 0.4765, 0.1913)  3 B 1.75-1.86
B (0.5000, 0.8883, 0.4534)  3 B 1.71-1.75
B (0.5000, 0.1367, 0.9698)  3 B 1.74-1.84
B (0.5000, 0.1117, 0.5466)  3 B 1.71-1.75

Output
Space-group type   Pbam (55)
E   -13.21 eV/atom
ΔE_f   -685 meV per atom
M_tot   0.00 μB per formula unit